Density functional theory data (GGA-PBE) for a relaxed Na3AlP8O23 crystal.

Calculated values
- density (kg/m3) = 2674
- calculated total energy (eV for the cell shown) = -972.45
- formation energy from the elements (meV/atom) = -2688
- crystal system = cubic

Cell lengths 12.0910, 12.0910, 12.0910 Å; angles 90.00, 90.00, 90.00 degrees
With the nearest neighbours (Å) after each atom.
Space group P4_132 (No. 213)
Asymmetric unit:
Na (0.0439, 0.2939, 0.1250) x12  6 O 2.39-2.58
Al (0.1250, 0.6250, 0.8750) x4  6 O 1.90
P (0.0177, 0.0177, 0.0177) x8  4 O 1.48-1.58
P (0.0692, 0.3646, 0.8545) x24  4 O 1.48-1.64
O (0.0111, 0.8225, 0.5626) x24  1 P 1.48
O (0.0157, 0.4081, 0.4202) x24  2 P 1.58-1.64
O (0.0176, 0.3750, 0.7324) x12  2 P 1.61
O (0.0319, 0.1225, 0.6335) x24  1 P 1.50
O (0.0885, 0.0885, 0.0885) x8  1 P 1.48